PBE RbB3O5, optimized geometry; formation enthalpy at 0 K = -2781 meV per atom; calculated total energy = -269.4 eV for the cell shown
1.0
4.9858 -4.4828 0.0000
4.9858 4.4828 0.0000
-2.1311 0.0000 9.0611
Rb B O
4 12 20
Cartesian
3.0222 3.0878 5.0234
3.7528 3.0878 8.5683
4.0878 -3.0878 0.4928
4.8183 -3.0878 4.0377
2.8038 2.2256 1.6318
1.3502 0.0751 6.9333
2.4158 -0.0751 2.4027
4.1102 0.3516 0.6146
6.1023 2.2256 2.8988
3.0447 -0.3516 5.1452
4.7958 0.3516 3.9160
1.7383 -2.2256 6.1624
3.7303 -0.3516 8.4465
5.4248 0.0751 6.6584
6.4903 -0.0751 2.1279
5.0367 -2.2256 7.4293
0.1778 0.8962 7.2498
1.9404 1.3261 2.2216
3.8725 1.7659 0.8703
1.2433 -0.8962 2.7193
2.1016 0.5153 5.7704
5.0336 1.7659 3.6603
0.8749 -1.3261 6.7522
3.1671 -0.5153 1.2398
2.2479 0.0723 8.1917
3.3134 -0.0723 3.6611
4.5271 0.0723 5.4000
5.5926 -0.0723 0.8694
4.6734 0.5153 7.8213
6.9656 1.3261 2.3090
2.8070 -1.7659 5.4009
5.7390 -0.5153 3.2907
6.5972 0.8962 6.3419
3.9680 -1.7659 8.1909
5.9001 -1.3261 6.8395
7.6628 -0.8962 1.8113